CeSe2, optimized geometry, DFT PBE; magnetic moment = 0.0 μB/cell; energy of formation = -1.59 eV/atom
1.0
7.2889 0.0000 0.0000
-1.8615 7.2562 0.0000
-1.2170 -1.2998 9.9435
Ce Se
4 8
Direct
0.0000 0.0000 0.0000
0.0654 0.0115 0.5864
0.5439 0.9210 0.3012
0.7616 0.4433 0.6312
0.0435 0.7544 0.7899
0.2727 0.8030 0.4597
0.3602 0.1251 0.1357
0.3798 0.3282 0.6269
0.7068 0.7763 0.0922
0.7494 0.7085 0.4547
0.8584 0.2195 0.4211
0.9175 0.2105 0.7989